{
  "formula": "Ho2ZnOs",
  "functional": "GGA-PBE",
  "state": "relaxed",
  "total_magnetization_mub_per_cell": 0.00,
  "delta_e_f_ev_per_atom": -0.31,
  "lattice": [[-0.2096, -3.7472, 3.1289], [0.9183, 0.7243, 4.7442], [-3.6312, -0.2614, 3.2590]],
  "species": ["Ho", "Ho", "Zn", "Os"],
  "fractional_positions": [[0.7500, 0.7500, 0.7500], [0.2500, 0.2500, 0.2500], [0.0000, 0.0000, 0.0000], [0.5000, 0.5000, 0.5000]]
}

***

{
  "formula": "HoZrOs2",
  "functional": "GGA-PBE",
  "state": "relaxed",
  "total_magnetization_mub_per_cell": 0.00,
  "delta_e_f_ev_per_atom": -0.31,
  "lattice": [[0.0000, 3.3392, 3.3392], [3.3392, 0.0000, 3.3392], [3.3392, 3.3392, 0.0000]],
  "species": ["Os", "Ho", "Os", "Zr"],
  "fractional_positions": [[0.2500, 0.2500, 0.2500], [0.0000, 0.0000, 0.0000], [0.7500, 0.7500, 0.7500], [0.5000, 0.5000, 0.5000]]
}

***

{
  "formula": "Ho3P",
  "functional": "GGA-PBE",
  "state": "relaxed",
  "total_magnetization_mub_per_cell": 0.00,
  "delta_e_f_ev_per_atom": -0.32,
  "lattice": [[-2.1904, 2.1904, 5.0854], [2.1904, -2.1904, 5.0854], [2.1904, 2.1904, -5.0854]],
  "species": ["Ho", "Ho", "P", "Ho"],
  "fractional_positions": [[0.7500, 0.2500, 0.5000], [0.5000, 0.5000, 0.0000], [0.0000, 0.0000, 0.0000], [0.2500, 0.7500, 0.5000]]
}

***

{
  "formula": "HoP5",
  "functional": "GGA-PBE",
  "state": "relaxed",
  "delta_e_f_ev_per_atom": -0.53,
  "lattice": [[-5.5899, -5.6791, 4.9994], [-2.4123, -1.2576, -4.1257], [2.7846, -4.2342, -1.6963]],
  "species": ["P", "P", "Ho", "P", "Ho", "P", "P", "P", "P", "P", "P", "P"],
  "fractional_positions": [[0.2500, 0.7257, 0.8923], [0.5286, 0.7151, 0.4052], [0.2500, 0.9965, 0.3467], [0.5929, 0.6163, 0.0441], [0.7500, 0.0035, 0.6533], [0.9071, 0.6163, 0.0441], [0.4071, 0.3837, 0.9559], [0.0929, 0.3837, 0.9559], [0.7500, 0.2743, 0.1077], [0.4714, 0.2849, 0.5948], [0.9714, 0.7151, 0.4052], [0.0286, 0.2849, 0.5948]]
}

***

{
  "formula": "HoP",
  "functional": "GGA-PBE",
  "state": "relaxed",
  "total_magnetization_mub_per_cell": 0.00,
  "delta_e_f_ev_per_atom": -1.06,
  "lattice": [[-0.4862, -1.9305, 2.8216], [3.1227, 0.9094, 1.1602], [-1.3917, 2.7149, 1.6177]],
  "species": ["Ho", "P"],
  "fractional_positions": [[0.0000, 0.0000, 0.0000], [0.5000, 0.5000, 0.5000]]
}

***

{
  "formula": "HoP",
  "functional": "GGA-PBE",
  "state": "relaxed",
  "delta_e_f_ev_per_atom": -1.61,
  "lattice": [[0.0000, 2.8202, 2.8202], [2.8202, 0.0000, 2.8202], [2.8202, 2.8202, 0.0000]],
  "species": ["Ho", "P"],
  "fractional_positions": [[0.0000, 0.0000, 0.0000], [0.5000, 0.5000, 0.5000]]
}

***

{
  "formula": "HoP2Ru2",
  "functional": "GGA-PBE",
  "state": "relaxed",
  "delta_e_f_ev_per_atom": -1.03,
  "lattice": [[-2.0267, 2.0267, 4.7690], [2.0267, -2.0267, 4.7690], [2.0267, 2.0267, -4.7690]],
  "species": ["P", "Ru", "Ho", "Ru", "P"],
  "fractional_positions": [[0.6245, 0.6245, 0.0000], [0.7500, 0.2500, 0.5000], [0.0000, 0.0000, 0.0000], [0.2500, 0.7500, 0.5000], [0.3755, 0.3755, 0.0000]]
}

***

{
  "formula": "HoPS",
  "functional": "GGA-PBE",
  "state": "relaxed",
  "delta_e_f_ev_per_atom": -1.72,
  "lattice": [[-0.5548, 3.7235, -3.7211], [1.2528, -3.5804, -3.7695], [-16.1043, -3.9750, -1.5767]],
  "species": ["S", "S", "S", "S", "Ho", "Ho", "S", "P", "P", "P", "Ho", "P", "S", "Ho", "Ho", "Ho", "P", "S", "Ho", "S", "Ho", "P", "P", "P"],
  "fractional_positions": [[0.7500, 0.0153, 0.6893], [0.2500, 0.0115, 0.8161], [0.7500, 0.9885, 0.1839], [0.7500, 0.5153, 0.8107], [0.2500, 0.5149, 0.8538], [0.2500, 0.4840, 0.3624], [0.7500, 0.4885, 0.3161], [0.5347, 0.7064, 0.0027], [0.0347, 0.7936, 0.5027], [0.9653, 0.7064, 0.0027], [0.2500, 0.0149, 0.6462], [0.5347, 0.2064, 0.4973], [0.2500, 0.9847, 0.3107], [0.2500, 0.9840, 0.1376], [0.7500, 0.0160, 0.8624], [0.7500, 0.4851, 0.1462], [0.4653, 0.7936, 0.5027], [0.2500, 0.5115, 0.6839], [0.7500, 0.5160, 0.6376], [0.2500, 0.4847, 0.1893], [0.7500, 0.9851, 0.3538], [0.4653, 0.2936, 0.9973], [0.9653, 0.2064, 0.4973], [0.0347, 0.2936, 0.9973]]
}

***

{
  "formula": "HoZn3P3",
  "functional": "GGA-PBE",
  "state": "relaxed",
  "delta_e_f_ev_per_atom": -0.60,
  "lattice": [[1.9916, -3.4496, 0.0000], [1.9916, 3.4496, 0.0000], [0.0000, 0.0000, 19.7612]],
  "species": ["Zn", "P", "Zn", "P", "P", "P", "Zn", "Zn", "P", "Ho", "Zn", "Zn", "P", "Ho"],
  "fractional_positions": [[0.3333, 0.6667, 0.7500], [0.6667, 0.3333, 0.0834], [0.6667, 0.3333, 0.6285], [0.6667, 0.3333, 0.4166], [0.3333, 0.6667, 0.5834], [0.6667, 0.3333, 0.7500], [0.3333, 0.6667, 0.3715], [0.6667, 0.3333, 0.2500], [0.3333, 0.6667, 0.2500], [0.0000, 0.0000, 0.5000], [0.6667, 0.3333, 0.8715], [0.3333, 0.6667, 0.1285], [0.3333, 0.6667, 0.9166], [0.0000, 0.0000, 0.0000]]
}

***

{
  "formula": "HoPaTc2",
  "functional": "GGA-PBE",
  "state": "relaxed",
  "delta_e_f_ev_per_atom": -0.17,
  "lattice": [[0.8414, -2.1767, 4.2387], [-3.7042, -1.3165, 2.8210], [-1.0635, -4.6862, 0.5663]],
  "species": ["Tc", "Tc", "Pa", "Ho"],
  "fractional_positions": [[0.2500, 0.2500, 0.2500], [0.7500, 0.7500, 0.7500], [0.0000, 0.0000, 0.0000], [0.5000, 0.5000, 0.5000]]
}

***

{
  "formula": "Ho3Pb",
  "functional": "GGA-PBE",
  "state": "relaxed",
  "total_magnetization_mub_per_cell": 0.12,
  "delta_e_f_ev_per_atom": -0.25,
  "lattice": [[-2.3463, 2.3463, 5.2488], [2.3463, -2.3463, 5.2488], [2.3463, 2.3463, -5.2488]],
  "species": ["Pb", "Ho", "Ho", "Ho"],
  "fractional_positions": [[0.0000, 0.0000, 0.0000], [0.5000, 0.5000, 0.0000], [0.2500, 0.7500, 0.5000], [0.7500, 0.2500, 0.5000]]
}

***

{
  "formula": "HoPb3",
  "functional": "GGA-PBE",
  "state": "relaxed",
  "delta_e_f_ev_per_atom": -0.26,
  "lattice": [[-0.8641, -4.0549, 2.5915], [1.2066, -2.7314, -3.8715], [4.6586, -0.0447, 1.4834]],
  "species": ["Pb", "Pb", "Pb", "Ho"],
  "fractional_positions": [[0.5000, 0.0000, 0.5000], [0.0000, 0.5000, 0.5000], [0.5000, 0.5000, 0.0000], [0.0000, 0.0000, 0.0000]]
}

***

{
  "formula": "Ho5Pb3",
  "functional": "GGA-PBE",
  "state": "relaxed",
  "delta_e_f_ev_per_atom": -0.53,
  "lattice": [[4.5147, -7.8197, 0.0000], [4.5147, 7.8197, 0.0000], [0.0000, 0.0000, 6.6077]],
  "species": ["Pb", "Pb", "Ho", "Pb", "Ho", "Ho", "Ho", "Pb", "Ho", "Ho", "Ho", "Ho", "Ho", "Pb", "Pb", "Ho"],
  "fractional_positions": [[0.0000, 0.3944, 0.7500], [0.3944, 0.0000, 0.7500], [0.3333, 0.6667, 0.0000], [0.0000, 0.6056, 0.2500], [0.6667, 0.3333, 0.0000], [0.2366, 0.2366, 0.7500], [0.6667, 0.3333, 0.5000], [0.3944, 0.3944, 0.2500], [0.0000, 0.2366, 0.2500], [0.7634, 0.0000, 0.7500], [0.7634, 0.7634, 0.2500], [0.2366, 0.0000, 0.2500], [0.3333, 0.6667, 0.5000], [0.6056, 0.6056, 0.7500], [0.6056, 0.0000, 0.2500], [0.0000, 0.7634, 0.7500]]
}

***

{
  "formula": "HoRh2Pb",
  "functional": "GGA-PBE",
  "state": "relaxed",
  "delta_e_f_ev_per_atom": -0.57,
  "lattice": [[2.4501, -4.0589, 0.4850], [-1.4682, -3.9501, -2.2257], [2.4934, -1.7317, -3.6738]],
  "species": ["Ho", "Rh", "Pb", "Rh"],
  "fractional_positions": [[0.5000, 0.5000, 0.5000], [0.7500, 0.7500, 0.7500], [0.0000, 0.0000, 0.0000], [0.2500, 0.2500, 0.2500]]
}

***

{
  "formula": "Ho2PbS4",
  "functional": "GGA-PBE",
  "state": "relaxed",
  "total_magnetization_mub_per_cell": 0.00,
  "delta_e_f_ev_per_atom": -1.92,
  "lattice": [[3.9779, -14.3920, 0.0000], [3.9779, 14.3920, 0.0000], [0.0000, 0.0000, 12.1444]],
  "species": ["S", "Ho", "S", "Pb", "S", "S", "S", "Ho", "Ho", "S", "Pb", "S", "Ho", "Ho", "S", "Pb", "S", "Ho", "S", "S", "Ho", "Ho", "S", "S", "S", "Pb", "S", "S", "Ho", "S", "Pb", "S", "Ho", "Pb", "S", "S", "S", "Ho", "S", "Ho", "S", "S", "S", "Ho", "S", "Ho", "Ho", "Pb", "S", "Pb", "Ho", "S", "S", "S", "S", "S"],
  "fractional_positions": [[0.2073, 0.2867, 0.5595], [0.6743, 0.8282, 0.7680], [0.5112, 0.9800, 0.8800], [0.0481, 0.9519, 0.5621], [0.7133, 0.7927, 0.5595], [0.8373, 0.1627, 0.4357], [0.6637, 0.3363, 0.9390], [0.5694, 0.4306, 0.9247], [0.9303, 0.5694, 0.7851], [0.1399, 0.8601, 0.2223], [0.4604, 0.0408, 0.0949], [0.8664, 0.6406, 0.4778], [0.3262, 0.6738, 0.9327], [0.1718, 0.3257, 0.7680], [0.9802, 0.0198, 0.8370], [0.5396, 0.9592, 0.5949], [0.2905, 0.7095, 0.1448], [0.1766, 0.8234, 0.4294], [0.6594, 0.8333, 0.2697], [0.4836, 0.5164, 0.8209], [0.0697, 0.4306, 0.2851], [0.5694, 0.9303, 0.2851], [0.7927, 0.7133, 0.0595], [0.3611, 0.6389, 0.7239], [0.7889, 0.2111, 0.1438], [0.9592, 0.5396, 0.0949], [0.5164, 0.4836, 0.3209], [0.1667, 0.3406, 0.2697], [0.9311, 0.0689, 0.4146], [0.6389, 0.3611, 0.2239], [0.5375, 0.4625, 0.6284], [0.8333, 0.6594, 0.7697], [0.3257, 0.1718, 0.2680], [0.4625, 0.5375, 0.1284], [0.1336, 0.3594, 0.9778], [0.4888, 0.0200, 0.3800], [0.3594, 0.1336, 0.4778], [0.4306, 0.5694, 0.4247], [0.3406, 0.1667, 0.7697], [0.4306, 0.0697, 0.7851], [0.3363, 0.6637, 0.4390], [0.2111, 0.7889, 0.6438], [0.0198, 0.9802, 0.3370], [0.8282, 0.6743, 0.2680], [0.8601, 0.1399, 0.7223], [0.8234, 0.1766, 0.9294], [0.6738, 0.3262, 0.4327], [0.9519, 0.0481, 0.0621], [0.0200, 0.4888, 0.8800], [0.0408, 0.4604, 0.5949], [0.0689, 0.9311, 0.9146], [0.9800, 0.5112, 0.3800], [0.1627, 0.8373, 0.9357], [0.6406, 0.8664, 0.9778], [0.2867, 0.2073, 0.0595], [0.7095, 0.2905, 0.6448]]
}

***

{
  "formula": "Ho2PbS4",
  "functional": "GGA-PBE",
  "state": "relaxed",
  "delta_e_f_ev_per_atom": -1.91,
  "lattice": [[3.9817, 0.0000, 0.0000], [0.0000, 12.0225, 0.0000], [0.0000, 0.0000, 14.3454]],
  "species": ["S", "S", "S", "S", "Ho", "Pb", "S", "Ho", "S", "Pb", "S", "Ho", "Ho", "Ho", "S", "S", "S", "S", "S", "Ho", "S", "Pb", "S", "Ho", "Ho", "S", "S", "Pb"],
  "fractional_positions": [[0.2500, 0.5233, 0.2155], [0.7500, 0.4767, 0.7845], [0.7500, 0.0856, 0.0774], [0.7500, 0.2927, 0.3275], [0.2500, 0.4331, 0.3893], [0.2500, 0.2589, 0.1628], [0.2500, 0.1295, 0.5268], [0.7500, 0.0811, 0.3996], [0.7500, 0.5856, 0.4226], [0.7500, 0.2411, 0.6628], [0.2500, 0.9144, 0.9226], [0.2500, 0.9331, 0.1107], [0.7500, 0.5669, 0.6107], [0.2500, 0.9189, 0.6004], [0.2500, 0.7073, 0.6725], [0.7500, 0.3705, 0.0268], [0.7500, 0.8705, 0.4732], [0.2500, 0.2073, 0.8275], [0.7500, 0.9767, 0.7155], [0.2500, 0.4189, 0.8996], [0.2500, 0.6295, 0.9732], [0.7500, 0.7411, 0.8372], [0.2500, 0.0233, 0.2845], [0.7500, 0.0669, 0.8893], [0.7500, 0.5811, 0.1004], [0.2500, 0.4144, 0.5774], [0.7500, 0.7927, 0.1725], [0.2500, 0.7589, 0.3372]]
}

***

{
  "formula": "Ho6Pb2Se11",
  "functional": "GGA-PBE",
  "state": "relaxed",
  "total_magnetization_mub_per_cell": 0.02,
  "delta_e_f_ev_per_atom": -1.85,
  "lattice": [[2.0395, -6.7614, 0.0000], [2.0395, 6.7614, 0.0000], [0.0000, 0.0000, 38.1996]],
  "species": ["Se", "Se", "Ho", "Ho", "Ho", "Se", "Ho", "Ho", "Se", "Se", "Ho", "Se", "Ho", "Se", "Ho", "Ho", "Se", "Se", "Se", "Se", "Pb", "Ho", "Se", "Se", "Pb", "Se", "Pb", "Ho", "Se", "Se", "Se", "Se", "Se", "Se", "Se", "Pb", "Ho", "Se"],
  "fractional_positions": [[0.6632, 0.3368, 0.1106], [0.6043, 0.3957, 0.8367], [0.9988, 0.0012, 0.5009], [0.9738, 0.0262, 0.8658], [0.2688, 0.7312, 0.0568], [0.3423, 0.6577, 0.8858], [0.2477, 0.7523, 0.8190], [0.7554, 0.2446, 0.1812], [0.6377, 0.3623, 0.4891], [0.1220, 0.8780, 0.1982], [0.0012, 0.9988, 0.0009], [0.1692, 0.8308, 0.7495], [0.9741, 0.0259, 0.6327], [0.6027, 0.3973, 0.6609], [0.0259, 0.9741, 0.1327], [0.0262, 0.9738, 0.3658], [0.3973, 0.6027, 0.1609], [0.0717, 0.9283, 0.9320], [0.3623, 0.6377, 0.9891], [0.6476, 0.3524, 0.0183], [0.4844, 0.5156, 0.2512], [0.7312, 0.2688, 0.5568], [0.3957, 0.6043, 0.3367], [0.8308, 0.1692, 0.2495], [0.7265, 0.2735, 0.9424], [0.8793, 0.1207, 0.7991], [0.5156, 0.4844, 0.7512], [0.2446, 0.7554, 0.6812], [0.1207, 0.8793, 0.2991], [0.9283, 0.0717, 0.4320], [0.9122, 0.0878, 0.0697], [0.6577, 0.3423, 0.3858], [0.3524, 0.6476, 0.5183], [0.3368, 0.6632, 0.6106], [0.8780, 0.1220, 0.6982], [0.2735, 0.7265, 0.4424], [0.7523, 0.2477, 0.3190], [0.0878, 0.9122, 0.5697]]
}

***

{
  "formula": "Ho3Pd4",
  "functional": "GGA-PBE",
  "state": "relaxed",
  "delta_e_f_ev_per_atom": -0.95,
  "lattice": [[0.7065, 6.3282, -4.5923], [-6.4142, -0.0055, 4.5268], [6.5966, -2.0266, 3.7433]],
  "species": ["Pd", "Pd", "Ho", "Pd", "Pd", "Ho", "Ho", "Ho", "Pd", "Ho", "Ho", "Pd", "Pd", "Pd"],
  "fractional_positions": [[0.2269, 0.5517, 0.0625], [0.0000, 0.0000, 0.0000], [0.2777, 0.0253, 0.4040], [0.0625, 0.2269, 0.5517], [0.5517, 0.0625, 0.2269], [0.9747, 0.5960, 0.7223], [0.7223, 0.9747, 0.5960], [0.5960, 0.7223, 0.9747], [0.4483, 0.9375, 0.7731], [0.4040, 0.2777, 0.0253], [0.0253, 0.4040, 0.2777], [0.7731, 0.4483, 0.9375], [0.9375, 0.7731, 0.4483], [0.5000, 0.5000, 0.5000]]
}

***

{
  "formula": "HoPd",
  "functional": "GGA-PBE",
  "state": "relaxed",
  "delta_e_f_ev_per_atom": -0.91,
  "lattice": [[3.4969, 0.0000, 0.0000], [0.0000, 3.4969, 0.0000], [0.0000, 0.0000, 3.4969]],
  "species": ["Ho", "Pd"],
  "fractional_positions": [[0.0000, 0.0000, 0.0000], [0.5000, 0.5000, 0.5000]]
}

***

{
  "formula": "HoPd3",
  "functional": "GGA-PBE",
  "state": "relaxed",
  "delta_e_f_ev_per_atom": -0.91,
  "lattice": [[-1.8122, -2.1846, 2.9800], [2.7614, -3.0061, -0.5244], [2.4551, 1.7686, 2.7895]],
  "species": ["Pd", "Pd", "Ho", "Pd"],
  "fractional_positions": [[0.5000, 0.5000, 0.0000], [0.5000, 0.0000, 0.5000], [0.0000, 0.0000, 0.0000], [0.0000, 0.5000, 0.5000]]
}